a:
Entry from the Materials Project: Na2TeO5 after structural relaxation (PBE).

Summary:
space group	No. 63

Cell: 6.343 6.343 9.206 Å, 90.00 90.00 117.10°
Fractional positions:
Na 0.000 0.000 0.000
Na 0.000 0.000 0.500
Na 0.391 0.609 0.750
Na 0.609 0.391 0.250
Te 0.223 0.777 0.250
Te 0.777 0.223 0.750
O 0.059 0.349 0.625
O 0.059 0.349 0.875
O 0.062 0.938 0.750
O 0.349 0.059 0.125
O 0.349 0.059 0.375
O 0.651 0.941 0.625
O 0.651 0.941 0.875
O 0.938 0.062 0.250
O 0.941 0.651 0.125
O 0.941 0.651 0.375

b:
Entry from the Materials Project: Na2TeO5 after structural relaxation (PBE).

Summary:
space group	No. 63

Cell: 7.649 7.649 5.880 Å, 90.00 90.00 127.99°
Fractional positions:
Na 0.000 0.000 0.000
Na 0.000 0.000 0.500
Na 0.329 0.671 0.750
Na 0.671 0.329 0.250
Te 0.210 0.790 0.250
Te 0.790 0.210 0.750
O 0.056 0.337 0.558
O 0.056 0.337 0.942
O 0.145 0.855 0.750
O 0.337 0.056 0.058
O 0.337 0.056 0.442
O 0.663 0.944 0.558
O 0.663 0.944 0.942
O 0.855 0.145 0.250
O 0.944 0.663 0.058
O 0.944 0.663 0.442

c:
Entry from the Materials Project: Na2TeO5 after structural relaxation (PBE).

Summary:
space group	No. 63

Cell: 6.264 6.264 8.030 Å, 90.00 90.00 118.49°
Fractional positions:
Na 0.000 0.000 0.000
Na 0.000 0.000 0.500
Na 0.359 0.641 0.750
Na 0.641 0.359 0.250
Te 0.233 0.767 0.250
Te 0.767 0.233 0.750
O 0.035 0.426 0.556
O 0.035 0.426 0.944
O 0.061 0.939 0.250
O 0.426 0.035 0.056
O 0.426 0.035 0.444
O 0.574 0.965 0.556
O 0.574 0.965 0.944
O 0.939 0.061 0.750
O 0.965 0.574 0.056
O 0.965 0.574 0.444

Q: What are the energies relative to the best structure? A: a 266; b 184; c 0, in meV/atom.

a:
Entry from the Materials Project: NaTi2O4 after structural relaxation (PBE).

Summary:
space group	No. 62

Cell: 9.346 2.967 10.856 Å, 90.00 90.00 90.00°
Fractional positions:
Na 0.243 0.250 0.154
Na 0.257 0.750 0.654
Na 0.743 0.250 0.346
Na 0.757 0.750 0.846
Ti 0.064 0.250 0.389
Ti 0.082 0.250 0.897
Ti 0.418 0.750 0.397
Ti 0.436 0.750 0.889
Ti 0.564 0.250 0.111
Ti 0.582 0.250 0.603
Ti 0.918 0.750 0.103
Ti 0.936 0.750 0.611
O 0.021 0.750 0.782
O 0.079 0.250 0.571
O 0.113 0.750 0.021
O 0.209 0.750 0.351
O 0.291 0.250 0.851
O 0.387 0.250 0.521
O 0.421 0.750 0.071
O 0.479 0.250 0.282
O 0.521 0.750 0.718
O 0.579 0.250 0.929
O 0.613 0.750 0.479
O 0.709 0.750 0.149
O 0.791 0.250 0.649
O 0.887 0.250 0.979
O 0.921 0.750 0.429
O 0.979 0.250 0.218

b:
Entry from the Materials Project: NaTi2O4 after structural relaxation (PBE).

Summary:
space group	No. 227

Cell: 6.165 6.165 6.165 Å, 60.00 60.00 60.00°
Fractional positions:
Na 0.125 0.125 0.125
Na 0.875 0.875 0.875
Ti 0.000 0.500 0.500
Ti 0.500 0.000 0.500
Ti 0.500 0.500 0.000
Ti 0.500 0.500 0.500
O 0.268 0.268 0.268
O 0.268 0.268 0.695
O 0.268 0.695 0.268
O 0.305 0.732 0.732
O 0.695 0.268 0.268
O 0.732 0.305 0.732
O 0.732 0.732 0.305
O 0.732 0.732 0.732

c:
Entry from the Materials Project: NaTi2O4 after structural relaxation (PBE).

Summary:
space group	No. 62

Cell: 7.671 10.597 9.274 Å, 90.00 90.00 90.00°
Fractional positions:
Na 0.197 0.250 0.060
Na 0.303 0.750 0.560
Na 0.697 0.250 0.440
Na 0.803 0.750 0.940
Ti 0.046 0.750 0.246
Ti 0.193 0.250 0.481
Ti 0.307 0.750 0.981
Ti 0.454 0.250 0.746
Ti 0.546 0.750 0.254
Ti 0.693 0.250 0.019
Ti 0.807 0.750 0.519
Ti 0.954 0.250 0.754
O 0.036 0.750 0.455
O 0.073 0.750 0.040
O 0.186 0.250 0.300
O 0.199 0.250 0.754
O 0.301 0.750 0.254
O 0.314 0.750 0.800
O 0.427 0.250 0.540
O 0.464 0.250 0.955
O 0.536 0.750 0.045
O 0.573 0.750 0.460
O 0.686 0.250 0.200
O 0.699 0.250 0.746
O 0.801 0.750 0.246
O 0.814 0.750 0.700
O 0.927 0.250 0.960
O 0.964 0.250 0.545

Q: What are the energies relative to the best structure? A: a 0; b 9; c 524, in meV/atom.

a:
Entry from the Materials Project: Na3Ti8O16 after structural relaxation (PBE).

Summary:
space group	No. 6

Cell: 9.292 2.978 10.803 Å, 90.00 90.11 90.00°
Fractional positions:
Na 0.000 0.000 0.000
Na 0.015 0.500 0.501
Na 0.500 0.000 0.194
Ti 0.177 0.500 0.245
Ti 0.200 0.500 0.735
Ti 0.322 0.000 0.955
Ti 0.342 0.000 0.454
Ti 0.674 0.500 0.945
Ti 0.691 0.500 0.463
Ti 0.820 0.000 0.237
Ti 0.839 0.000 0.743
O 0.051 0.000 0.700
O 0.144 0.000 0.367
O 0.178 0.500 0.919
O 0.235 0.000 0.130
O 0.274 0.500 0.563
O 0.332 0.000 0.777
O 0.370 0.500 0.327
O 0.465 0.500 0.997
O 0.551 0.000 0.487
O 0.646 0.000 0.833
O 0.679 0.500 0.277
O 0.735 0.000 0.065
O 0.784 0.500 0.628
O 0.835 0.000 0.418
O 0.871 0.500 0.866
O 0.965 0.500 0.199

b:
Entry from the Materials Project: Na3Ti8O16 after structural relaxation (PBE).

Summary:
space group	No. 59

Cell: 6.125 12.264 8.662 Å, 90.00 90.00 90.00°
Fractional positions:
Na 0.250 0.001 0.126
Na 0.250 0.499 0.126
Na 0.250 0.750 0.377
Na 0.750 0.250 0.623
Na 0.750 0.501 0.874
Na 0.750 0.999 0.874
Ti 0.000 0.000 0.500
Ti 0.000 0.500 0.500
Ti 0.004 0.250 0.005
Ti 0.250 0.126 0.742
Ti 0.250 0.374 0.742
Ti 0.250 0.628 0.748
Ti 0.250 0.872 0.748
Ti 0.496 0.250 0.005
Ti 0.500 0.000 0.500
Ti 0.500 0.500 0.500
Ti 0.504 0.750 0.995
Ti 0.750 0.128 0.252
Ti 0.750 0.372 0.252
Ti 0.750 0.626 0.258
Ti 0.750 0.874 0.258
Ti 0.996 0.750 0.995
O 0.035 0.750 0.767
O 0.036 0.250 0.769
O 0.038 0.001 0.731
O 0.038 0.499 0.731
O 0.250 0.107 0.517
O 0.250 0.143 0.981
O 0.250 0.357 0.981
O 0.250 0.393 0.517
O 0.250 0.606 0.518
O 0.250 0.643 0.981
O 0.250 0.857 0.981
O 0.250 0.894 0.518
O 0.462 0.001 0.731
O 0.462 0.499 0.731
O 0.464 0.250 0.769
O 0.465 0.750 0.767
O 0.535 0.250 0.233
O 0.536 0.750 0.231
O 0.538 0.501 0.269
O 0.538 0.999 0.269
O 0.750 0.106 0.482
O 0.750 0.143 0.019
O 0.750 0.357 0.019
O 0.750 0.394 0.482
O 0.750 0.607 0.483
O 0.750 0.643 0.019
O 0.750 0.857 0.019
O 0.750 0.893 0.483
O 0.962 0.501 0.269
O 0.962 0.999 0.269
O 0.964 0.750 0.231
O 0.965 0.250 0.233

Q: What are the energies relative to the best structure? A: a 0; b 18, in meV/atom.

a:
Entry from the Materials Project: Na6Ti2O7 after structural relaxation (PBE).

Summary:
piezoelectric modulus e_max	1.2	C/m²
space group	No. 7

Cell: 6.008 8.588 10.785 Å, 90.00 122.87 90.00°
Fractional positions:
Na 0.000 0.053 0.000
Na 0.000 0.947 0.500
Na 0.206 0.275 0.308
Na 0.206 0.725 0.808
Na 0.328 0.073 0.813
Na 0.328 0.927 0.313
Na 0.494 0.425 0.721
Na 0.494 0.575 0.221
Na 0.635 0.217 0.240
Na 0.635 0.783 0.740
Na 0.821 0.440 0.542
Na 0.821 0.560 0.042
Ti 0.124 0.407 0.910
Ti 0.124 0.593 0.410
Ti 0.697 0.102 0.627
Ti 0.697 0.898 0.127
O 0.207 0.340 0.091
O 0.207 0.660 0.591
O 0.400 0.069 0.627
O 0.400 0.931 0.127
O 0.418 0.438 0.906
O 0.418 0.562 0.406
O 0.621 0.130 0.441
O 0.621 0.870 0.941
O 0.879 0.278 0.747
O 0.879 0.722 0.247
O 0.924 0.061 0.207
O 0.924 0.939 0.707
O 0.937 0.416 0.369
O 0.937 0.584 0.869

b:
Entry from the Materials Project: Na6Ti2O7 after structural relaxation (PBE).

Summary:
space group	No. 12

Cell: 8.478 8.478 11.179 Å, 103.09 103.09 72.32°
Fractional positions:
Na 0.025 0.337 0.884
Na 0.129 0.436 0.380
Na 0.130 0.806 0.618
Na 0.194 0.870 0.382
Na 0.251 0.579 0.880
Na 0.337 0.025 0.884
Na 0.421 0.749 0.120
Na 0.436 0.129 0.380
Na 0.460 0.460 0.622
Na 0.540 0.540 0.378
Na 0.564 0.871 0.620
Na 0.579 0.251 0.880
Na 0.663 0.975 0.116
Na 0.749 0.421 0.120
Na 0.806 0.130 0.618
Na 0.870 0.194 0.382
Na 0.871 0.564 0.620
Na 0.975 0.663 0.116
Ti 0.112 0.112 0.140
Ti 0.206 0.206 0.628
Ti 0.355 0.355 0.129
Ti 0.645 0.645 0.871
Ti 0.794 0.794 0.372
Ti 0.888 0.888 0.860
O 0.000 0.000 0.000
O 0.026 0.724 0.412
O 0.027 0.736 0.763
O 0.212 0.212 0.054
O 0.254 0.559 0.083
O 0.264 0.973 0.237
O 0.274 0.274 0.797
O 0.276 0.974 0.588
O 0.299 0.299 0.539
O 0.377 0.377 0.297
O 0.441 0.746 0.917
O 0.559 0.254 0.083
O 0.623 0.623 0.703
O 0.701 0.701 0.461
O 0.724 0.026 0.412
O 0.726 0.726 0.203
O 0.736 0.027 0.763
O 0.746 0.441 0.917
O 0.788 0.788 0.946
O 0.973 0.264 0.237
O 0.974 0.276 0.588

c:
Entry from the Materials Project: Na6Ti2O7 after structural relaxation (PBE).

Summary:
space group	No. 15

Cell: 5.973 5.973 12.481 Å, 100.36 100.36 94.39°
Fractional positions:
Na 0.000 0.000 0.000
Na 0.000 0.000 0.500
Na 0.011 0.451 0.866
Na 0.064 0.936 0.750
Na 0.259 0.549 0.419
Na 0.451 0.011 0.366
Na 0.451 0.741 0.081
Na 0.549 0.259 0.919
Na 0.549 0.989 0.634
Na 0.741 0.451 0.581
Na 0.936 0.064 0.250
Na 0.989 0.549 0.134
Ti 0.265 0.427 0.640
Ti 0.427 0.265 0.140
Ti 0.573 0.735 0.860
Ti 0.735 0.573 0.360
O 0.026 0.270 0.677
O 0.196 0.701 0.607
O 0.249 0.347 0.021
O 0.270 0.026 0.177
O 0.299 0.804 0.893
O 0.347 0.249 0.521
O 0.462 0.538 0.250
O 0.538 0.462 0.750
O 0.653 0.751 0.479
O 0.701 0.196 0.107
O 0.730 0.974 0.823
O 0.751 0.653 0.979
O 0.804 0.299 0.393
O 0.974 0.730 0.323

Q: What are the energies relative to the best structure? A: a 20; b 59; c 0, in meV/atom.